1.
Entry from Materials Project: crystalline Mg4Si7 at its relaxed geometry (PBE).

* DFT formation energy: 0.172 eV per atom

a = 4.2776 Å, b = 6.8243 Å, c = 14.0125 Å
α = 87.24°, β = 82.76°, γ = 89.91°
With the nearest neighbours (Å) after each atom.
Sites, in units of the cell vectors:
Mg: 0.0000 0.0000 0.0000  9 Si 2.89-3.22, 2 Mg 3.19-3.21
Mg: 0.0308 0.5030 0.9289  6 Si 2.80-3.03
Mg: 0.4639 0.3034 0.0767  4 Si 2.67-2.78
Mg: 0.6112 0.5215 0.7472  8 Si 2.78-3.04
Mg: 0.6454 0.0592 0.6706  9 Si 2.74-3.05
Mg: 0.8337 0.5888 0.3725  6 Si 2.67-2.95
Mg: 0.8924 0.1094 0.2432  5 Si 2.81-3.00
Mg: 0.9319 0.6131 0.1547  8 Si 2.87-3.13, 1 Mg 3.02
Si: 0.0925 0.2142 0.7865  4 Si 2.45-2.53
Si: 0.0978 0.8487 0.7839  4 Si 2.41-2.50
Si: 0.1653 0.7200 0.6253  4 Si 2.41-2.45
Si: 0.1706 0.3640 0.6227  4 Si 2.43-2.47
Si: 0.2643 0.2537 0.4208  3 Si 2.44-2.53
Si: 0.3620 0.7681 0.2920  2 Si 2.36-2.50
Si: 0.3796 0.4111 0.2602  2 Si 2.44-2.50, 1 Mg 2.69
Si: 0.4407 0.9268 0.1377  2 Si 2.36-2.39
Si: 0.4927 0.6866 0.0183  2 Si 2.37-2.39
Si: 0.5520 0.2115 0.8843  3 Si 2.46-2.53
Si: 0.5647 0.8556 0.8653  4 Si 2.37-2.46
Si: 0.7000 0.7630 0.5413  3 Si 2.41-2.45, 1 Mg 2.69
Si: 0.7068 0.3623 0.5340  3 Si 2.42-2.47, 1 Mg 2.68
Si: 0.7484 0.0664 0.4446  4 Si 2.41-2.53


2.
Entry from Materials Project: crystalline Mg4Si3 at its relaxed geometry (PBE).

* DFT formation energy: 0.083 eV per atom

a = 6.2360 Å, b = 7.3062 Å, c = 12.5568 Å
α = 95.84°, β = 93.71°, γ = 105.93°
With the nearest neighbours (Å) after each atom.
Sites, in units of the cell vectors:
Mg: 0.0000 0.0000 0.0000  5 Si 2.71-2.95
Mg: 0.0055 0.9386 0.5077  4 Si 2.72-2.80, 2 Mg 3.00-3.01
Mg: 0.1328 0.6329 0.0714  5 Si 2.78-3.10
Mg: 0.1400 0.3833 0.8233  4 Si 2.80-3.01, 1 Mg 3.09
Mg: 0.2185 0.9852 0.7346  4 Si 2.79-2.94, 1 Mg 3.01
Mg: 0.2653 0.4242 0.4233  5 Si 2.86-2.94, 4 Mg 2.90-3.09
Mg: 0.3140 0.0611 0.3287  2 Si 2.64-2.69, 2 Mg 2.87-2.90
Mg: 0.4744 0.8234 0.5292  4 Si 2.77-3.04, 1 Mg 2.98
Mg: 0.5079 0.7170 0.2788  3 Si 2.73-2.82, 1 Mg 3.00
Mg: 0.5515 0.0166 0.1201  6 Si 2.82-3.05, 3 Mg 2.95-3.12
Mg: 0.6239 0.6174 0.0001  6 Si 2.80-3.06, 1 Mg 3.12
Mg: 0.6375 0.3590 0.7855  6 Si 2.72-2.92
Mg: 0.6767 0.8715 0.7675  4 Si 2.66-2.92
Mg: 0.7414 0.4216 0.2128  4 Si 2.65-2.86, 1 Mg 2.95
Mg: 0.7730 0.2068 0.4177  4 Si 2.73-2.99, 3 Mg 2.87-3.04
Mg: 0.9557 0.5532 0.6258  4 Si 2.72-2.87
Si: 0.0075 0.1955 0.2269  2 Si 2.42-2.44, 2 Mg 2.65-2.69
Si: 0.0783 0.7013 0.3326  2 Si 2.47-2.57, 2 Mg 2.64-2.73
Si: 0.3206 0.3346 0.1285  2 Si 2.42-2.57, 1 Mg 2.65
Si: 0.3636 0.8330 0.9137  2 Si 2.45-2.56, 1 Mg 2.74
Si: 0.3873 0.5131 0.6512  1 Si 2.47, 1 Mg 2.75
Si: 0.4132 0.1944 0.9465  3 Si 2.41-2.57
Si: 0.4211 0.2021 0.5693  2 Si 2.47-2.53
Si: 0.7512 0.5764 0.4318  1 Si 2.47, 3 Mg 2.72-2.73
Si: 0.7891 0.1480 0.6327  1 Si 2.53, 5 Mg 2.72-2.78
Si: 0.8132 0.2921 0.9896  1 Si 2.41
Si: 0.8967 0.8461 0.1859  2 Si 2.44-2.57, 2 Mg 2.73
Si: 0.9682 0.6993 0.8441  1 Si 2.45, 2 Mg 2.66-2.74


3.
Entry from Materials Project: crystalline Mg3Si4 at its relaxed geometry (PBE).

* DFT formation energy: 0.181 eV per atom

a = 5.9248 Å, b = 4.2546 Å, c = 9.8899 Å
α = 90.00°, β = 95.12°, γ = 90.00°
With the nearest neighbours (Å) after each atom.
Sites, in units of the cell vectors:
Mg: 0.0000 0.0000 0.0000  8 Si 2.78-2.82, 4 Mg 2.99-3.01
Mg: 0.0000 0.5000 0.5000  10 Si 2.93-3.27, 4 Mg 3.07
Mg: 0.1376 0.0000 0.2987  5 Si 2.73-2.98, 1 Mg 2.99
Mg: 0.4145 0.0000 0.8447  9 Si 2.80-3.13, 2 Mg 3.01-3.12
Mg: 0.5855 0.0000 0.1553  9 Si 2.80-3.13, 2 Mg 3.01-3.12
Mg: 0.8624 0.0000 0.7013  5 Si 2.73-2.98, 1 Mg 2.99
Si: 0.0842 0.5000 0.8248  2 Si 2.54-2.61, 4 Mg 2.73-2.82
Si: 0.2950 0.5000 0.0594  3 Si 2.54-2.79, 2 Mg 2.78
Si: 0.3335 0.0000 0.5614  3 Si 2.41-2.47
Si: 0.4833 0.5000 0.3644  3 Si 2.47-2.67
Si: 0.5167 0.5000 0.6356  3 Si 2.47-2.67
Si: 0.6665 0.0000 0.4386  3 Si 2.41-2.47
Si: 0.7050 0.5000 0.9406  3 Si 2.54-2.79, 2 Mg 2.78
Si: 0.9158 0.5000 0.1752  2 Si 2.54-2.61, 4 Mg 2.73-2.82


4.
Entry from Materials Project: crystalline Mg3Si4 at its relaxed geometry (PBE).

* DFT formation energy: 0.181 eV per atom

a = 6.0471 Å, b = 6.2515 Å, c = 7.7382 Å
α = 101.72°, β = 109.17°, γ = 100.67°
With the nearest neighbours (Å) after each atom.
Sites, in units of the cell vectors:
Mg: 0.0000 0.0000 0.0000  7 Si 2.74-3.02, 1 Mg 2.89
Mg: 0.0702 0.4990 0.8666  5 Si 2.75-2.91
Mg: 0.2684 0.2641 0.4993  5 Si 2.75-2.92, 1 Mg 3.00
Mg: 0.6395 0.7246 0.5802  4 Si 2.80-2.93, 1 Mg 3.11
Mg: 0.7231 0.1918 0.4508  5 Si 2.70-2.94, 2 Mg 3.00-3.01
Mg: 0.8634 0.3876 0.1653  6 Si 2.67-2.98, 1 Mg 2.89
Si: 0.0784 0.6329 0.5516  2 Si 2.43-2.47
Si: 0.2456 0.0209 0.7555  3 Si 2.41-2.43
Si: 0.2941 0.8078 0.2505  3 Si 2.48-2.52
Si: 0.3763 0.4276 0.2008  2 Si 2.50-2.76
Si: 0.4903 0.9883 0.0611  3 Si 2.42-2.48
Si: 0.5912 0.6301 0.9895  2 Si 2.43-2.55, 1 Mg 2.67
Si: 0.6548 0.1605 0.7741  1 Si 2.41
Si: 0.9190 0.8389 0.3187  3 Si 2.47-2.55, 1 Mg 2.74


5.
Entry from Materials Project: crystalline Mg4Si7 at its relaxed geometry (PBE).

* DFT formation energy: 0.175 eV per atom

a = 4.0248 Å, b = 6.9194 Å, c = 14.0302 Å
α = 89.32°, β = 89.26°, γ = 88.70°
With the nearest neighbours (Å) after each atom.
Sites, in units of the cell vectors:
Mg: 0.0000 0.0000 0.0000  8 Si 2.82-3.01, 1 Mg 3.15
Mg: 0.0006 0.5042 0.9199  7 Si 2.79-3.12
Mg: 0.4918 0.3163 0.0774  4 Si 2.70-2.92
Mg: 0.5219 0.5101 0.7305  10 Si 2.86-3.08
Mg: 0.5318 0.0453 0.6557  6 Si 2.63-2.91
Mg: 0.5493 0.4400 0.4896  5 Si 2.64-2.95
Mg: 0.9744 0.6225 0.1643  8 Si 2.79-3.06
Mg: 0.9905 0.1465 0.2307  7 Si 2.78-3.06
Si: 0.0066 0.0866 0.4817  4 Si 2.49-2.71
Si: 0.0147 0.1957 0.7775  4 Si 2.44-2.58
Si: 0.0154 0.6891 0.6002  4 Si 2.47-2.60
Si: 0.0173 0.8247 0.7622  4 Si 2.47-2.58
Si: 0.0403 0.3290 0.6158  3 Si 2.44-2.54
Si: 0.0636 0.6556 0.3706  3 Si 2.47-2.54
Si: 0.4477 0.4303 0.2766  2 Si 2.46-2.54
Si: 0.4878 0.6910 0.0212  2 Si 2.38-2.40
Si: 0.4934 0.9360 0.1389  2 Si 2.38-2.47
Si: 0.5008 0.1371 0.3766  4 Si 2.42-2.54, 1 Mg 2.66
Si: 0.5009 0.8189 0.5068  4 Si 2.52-2.80, 2 Mg 2.63-2.64
Si: 0.5070 0.1980 0.8831  3 Si 2.49-2.51
Si: 0.5109 0.8368 0.8649  4 Si 2.40-2.51
Si: 0.5540 0.8207 0.3050  4 Si 2.42-2.51


6.
Entry from Materials Project: crystalline Mg4Si3 at its relaxed geometry (PBE).

* DFT formation energy: 0.053 eV per atom

a = 5.6030 Å, b = 7.2987 Å, c = 7.5936 Å
α = 110.60°, β = 92.11°, γ = 108.90°
With the nearest neighbours (Å) after each atom.
Sites, in units of the cell vectors:
Mg: 0.0000 0.0000 0.0000  6 Si 2.80-3.13
Mg: 0.0080 0.3940 0.3852  6 Si 2.73-3.02
Mg: 0.1354 0.1802 0.6685  4 Si 2.75-2.98
Mg: 0.1976 0.8214 0.2993  5 Si 2.71-3.02
Mg: 0.3734 0.6855 0.8997  4 Si 2.72-3.04
Mg: 0.5671 0.4827 0.1404  6 Si 2.82-3.03, 3 Mg 3.08-3.13
Mg: 0.6311 0.7682 0.5680  5 Si 2.71-2.90
Mg: 0.7834 0.4829 0.7666  4 Si 2.68-2.96
Si: 0.0476 0.4065 0.0225  8 Mg 2.71-3.03, 1 Si 2.73
Si: 0.1428 0.8011 0.6555  1 Si 2.64, 8 Mg 2.73-2.94
Si: 0.4605 0.3386 0.4390  1 Si 2.38
Si: 0.5259 0.0849 0.1655  3 Si 2.38-2.41
Si: 0.5737 0.1057 0.8580  2 Si 2.41-2.64
Si: 0.7664 0.9334 0.3024  1 Si 2.41


Q: Which energy relative to the lowest polymorph listed for this composition values were calculated for the entries above? A: 26, 80, 88, 87, 29, 49, in meV/atom.